No. 1
# Li3Mn4B4O12

A relaxed Li3Mn4B4O12 crystal (PBE with a Hubbard U, the Materials Project).

## Properties
symmetry	No. 1
polymorph energy (0 for the lowest one)	9	meV/atom
crystal system	triclinic

a b c (Å): 5.304 10.303 13.969
angles (deg): 89.54 79.13 88.01
Positions (direct):
Li1 0.141 0.838 0.008
Li2 0.178 0.097 0.337
Li3 0.165 0.329 0.985
Li4 0.503 0.329 0.324
Li5 0.480 0.840 0.343
Li6 0.512 0.600 0.665
Li7 0.844 0.331 0.653
Li8 0.814 0.845 0.676
Li9 0.836 0.600 0.001
Mn1 0.036 0.866 0.229
Mn2 0.274 0.118 0.110
Mn3 0.064 0.618 0.557
Mn4 0.286 0.366 0.766
Mn5 0.609 0.364 0.104
Mn6 0.379 0.872 0.557
Mn7 0.627 0.121 0.451
Mn8 0.716 0.613 0.229
Mn9 0.397 0.618 0.886
Mn10 0.954 0.376 0.437
Mn11 0.705 0.874 0.896
Mn12 0.950 0.120 0.783
B1 0.053 0.354 0.218
B2 0.069 0.120 0.554
B3 0.271 0.626 0.112
B4 0.407 0.378 0.551
B5 0.270 0.877 0.780
B6 0.598 0.878 0.117
B7 0.389 0.124 0.883
B8 0.715 0.121 0.223
B9 0.612 0.637 0.451
B10 0.726 0.368 0.885
B11 0.946 0.879 0.450
B12 0.945 0.628 0.780
O1 0.184 0.638 0.024
O2 0.109 0.667 0.197
O3 0.199 0.311 0.125
O4 0.013 0.839 0.539
O5 0.164 0.350 0.297
O6 0.126 0.897 0.368
O7 0.146 0.410 0.557
O8 0.016 0.927 0.777
O9 0.341 0.926 0.110
O10 0.312 0.057 0.549
O11 0.196 0.579 0.774
O12 0.521 0.576 0.112
O13 0.306 0.159 0.797
O14 0.549 0.131 0.311
O15 0.633 0.154 0.137
O16 0.230 0.139 0.971
O17 0.526 0.656 0.367
O18 0.452 0.682 0.542
O19 0.549 0.329 0.464
O20 0.327 0.839 0.869
O21 0.650 0.847 0.207
O22 0.519 0.399 0.631
O23 0.444 0.863 0.695
O24 0.774 0.860 0.033
O25 0.470 0.403 0.886
O26 0.800 0.400 0.222
O27 0.687 0.905 0.449
O28 0.639 0.076 0.876
O29 0.975 0.083 0.221
O30 0.840 0.575 0.459
O31 0.914 0.145 0.641
O32 0.002 0.159 0.466
O33 0.844 0.646 0.697
O34 0.794 0.663 0.870
O35 0.876 0.315 0.797
O36 0.834 0.389 0.965

=====

No. 2
# Li3Fe4F19

A relaxed Li3Fe4F19 crystal (PBE with a Hubbard U, the Materials Project).

## Properties
symmetry	No. 2
crystal system	triclinic

a b c (Å): 5.262 10.554 12.482
angles (deg): 104.20 95.33 100.99
Positions (direct):
Li1 0.546 0.839 0.931
Li2 0.260 0.251 0.514
Li3 0.397 0.521 0.208
Li4 0.603 0.479 0.792
Li5 0.740 0.749 0.486
Li6 0.454 0.161 0.069
Fe1 0.113 0.936 0.780
Fe2 0.122 0.617 0.627
Fe3 0.062 0.346 0.950
Fe4 0.356 0.892 0.371
Fe5 0.644 0.108 0.629
Fe6 0.938 0.654 0.050
Fe7 0.878 0.383 0.373
Fe8 0.887 0.064 0.220
F1 0.087 0.815 0.429
F2 0.122 0.990 0.313
F3 0.354 0.019 0.921
F4 0.147 0.758 0.201
F5 0.206 0.724 0.989
F6 0.286 0.790 0.790
F7 0.133 0.529 0.089
F8 0.127 0.421 0.511
F9 0.030 0.217 0.362
F10 0.136 0.454 0.308
F11 0.118 0.153 0.873
F12 0.382 0.692 0.564
F13 0.350 0.551 0.707
F14 0.321 0.414 0.884
F15 0.486 0.730 0.335
F16 0.612 0.981 0.298
F17 0.163 0.114 0.150
F18 0.302 0.325 0.060
F19 0.620 0.918 0.502
F20 0.380 0.082 0.498
F21 0.698 0.675 0.940
F22 0.837 0.886 0.850
F23 0.388 0.019 0.702
F24 0.514 0.270 0.665
F25 0.679 0.586 0.116
F26 0.650 0.449 0.293
F27 0.618 0.308 0.436
F28 0.882 0.847 0.127
F29 0.864 0.546 0.692
F30 0.970 0.783 0.638
F31 0.873 0.579 0.489
F32 0.867 0.471 0.911
F33 0.714 0.210 0.210
F34 0.794 0.276 0.011
F35 0.853 0.242 0.799
F36 0.646 0.981 0.079
F37 0.878 0.010 0.687
F38 0.913 0.185 0.571

=====

No. 3
# CsV2P3O14

A relaxed CsV2P3O14 crystal (PBE with a Hubbard U, the Materials Project).

## Properties
symmetry	No. 14
crystal system	monoclinic

a b c (Å): 6.253 18.381 10.078
angles (deg): 90.00 94.89 90.00
Positions (direct):
Cs1 0.198 0.698 0.994
Cs2 0.802 0.198 0.506
Cs3 0.802 0.302 0.006
Cs4 0.198 0.802 0.494
V1 0.701 0.873 0.160
V2 0.299 0.373 0.340
V3 0.299 0.127 0.840
V4 0.701 0.627 0.660
V5 0.238 0.065 0.332
V6 0.762 0.565 0.168
V7 0.762 0.935 0.668
V8 0.238 0.435 0.832
P1 0.659 0.804 0.863
P2 0.341 0.304 0.637
P3 0.341 0.196 0.137
P4 0.659 0.696 0.363
P5 0.744 0.007 0.372
P6 0.256 0.507 0.128
P7 0.256 0.993 0.628
P8 0.744 0.493 0.872
P9 0.204 0.900 0.129
P10 0.796 0.400 0.371
P11 0.796 0.100 0.871
P12 0.204 0.600 0.629
O1 0.421 0.801 0.807
O2 0.579 0.301 0.693
O3 0.579 0.199 0.193
O4 0.421 0.699 0.307
O5 0.750 0.735 0.804
O6 0.250 0.235 0.696
O7 0.250 0.265 0.196
O8 0.750 0.765 0.304
O9 0.773 0.876 0.826
O10 0.227 0.376 0.674
O11 0.227 0.124 0.174
O12 0.773 0.624 0.326
O13 0.678 0.800 0.019
O14 0.322 0.300 0.481
O15 0.322 0.200 0.981
O16 0.678 0.700 0.519
O17 0.679 0.942 0.065
O18 0.321 0.442 0.435
O19 0.321 0.058 0.935
O20 0.679 0.558 0.565
O21 0.764 0.927 0.325
O22 0.236 0.427 0.175
O23 0.236 0.073 0.675
O24 0.764 0.573 0.825
O25 0.929 0.056 0.328
O26 0.071 0.556 0.172
O27 0.071 0.944 0.672
O28 0.929 0.444 0.828
O29 0.752 0.010 0.526
O30 0.248 0.510 0.974
O31 0.248 0.990 0.474
O32 0.752 0.490 0.026
O33 0.534 0.042 0.312
O34 0.466 0.542 0.188
O35 0.466 0.958 0.688
O36 0.534 0.458 0.812
O37 0.272 0.133 0.433
O38 0.728 0.633 0.067
O39 0.728 0.867 0.567
O40 0.272 0.367 0.933
O41 0.188 0.976 0.182
O42 0.812 0.476 0.318
O43 0.812 0.024 0.818
O44 0.188 0.524 0.682
O45 0.015 0.852 0.172
O46 0.985 0.352 0.328
O47 0.985 0.148 0.828
O48 0.015 0.648 0.672
O49 0.195 0.896 0.976
O50 0.805 0.396 0.524
O51 0.805 0.104 0.024
O52 0.195 0.604 0.476
O53 0.411 0.859 0.194
O54 0.589 0.359 0.306
O55 0.589 0.141 0.806
O56 0.411 0.641 0.694

=====

No. 4
# LiCo6O2F10

A relaxed LiCo6O2F10 crystal (PBE with a Hubbard U, the Materials Project).

## Properties
symmetry	No. 1
polymorph energy (0 for the lowest one)	23	meV/atom
crystal system	triclinic

a b c (Å): 4.863 4.826 9.414
angles (deg): 89.15 88.97 92.34
Positions (direct):
Li1 0.489 0.990 0.740
Co1 0.966 0.963 0.011
Co2 0.035 0.036 0.326
Co3 0.997 0.000 0.657
Co4 0.501 0.501 0.168
Co5 0.504 0.496 0.854
Co6 0.497 0.498 0.484
O1 0.326 0.325 0.321
O2 0.674 0.678 0.011
F1 0.206 0.794 0.167
F2 0.190 0.804 0.826
F3 0.217 0.822 0.504
F4 0.276 0.275 0.003
F5 0.315 0.297 0.674
F6 0.681 0.700 0.667
F7 0.722 0.722 0.327
F8 0.795 0.207 0.166
F9 0.782 0.170 0.826
F10 0.813 0.209 0.503

=====

No. 5
# Na3Mn2P2C2O14

A relaxed Na3Mn2P2C2O14 crystal (PBE with a Hubbard U, the Materials Project).

## Properties
symmetry	No. 2
polymorph energy (0 for the lowest one)	6	meV/atom
crystal system	triclinic

a b c (Å): 6.591 10.299 10.404
angles (deg): 118.72 89.58 91.30
Positions (direct):
Na1 0.995 0.762 0.011
Na2 0.515 0.762 0.007
Na3 0.971 0.758 0.508
Na4 0.485 0.238 0.993
Na5 0.005 0.238 0.989
Na6 0.029 0.242 0.492
Mn1 0.255 0.651 0.187
Mn2 0.260 0.651 0.679
Mn3 0.745 0.349 0.813
Mn4 0.740 0.349 0.321
P1 0.752 0.571 0.178
P2 0.755 0.576 0.681
P3 0.248 0.429 0.822
P4 0.245 0.424 0.319
C1 0.252 0.920 0.348
C2 0.249 0.920 0.843
C3 0.748 0.080 0.652
C4 0.751 0.080 0.157
O1 0.755 0.945 0.574
O2 0.760 0.943 0.074
O3 0.263 0.852 0.201
O4 0.251 0.855 0.700
O5 0.247 0.821 0.394
O6 0.256 0.822 0.892
O7 0.940 0.668 0.188
O8 0.567 0.662 0.184
O9 0.942 0.676 0.696
O10 0.567 0.670 0.701
O11 0.760 0.540 0.813
O12 0.249 0.580 0.967
O13 0.758 0.534 0.307
O14 0.242 0.571 0.464
O15 0.751 0.420 0.033
O16 0.240 0.460 0.187
O17 0.758 0.429 0.536
O18 0.242 0.466 0.693
O19 0.433 0.338 0.816
O20 0.060 0.332 0.812
O21 0.433 0.330 0.299
O22 0.058 0.324 0.304
O23 0.753 0.179 0.606
O24 0.744 0.178 0.108
O25 0.737 0.148 0.799
O26 0.749 0.145 0.300
O27 0.245 0.055 0.426
O28 0.240 0.057 0.926

=====

No. 6
# U2Co3O8

A relaxed U2Co3O8 crystal (PBE with a Hubbard U, the Materials Project).

## Properties
symmetry	No. 6
polymorph energy (0 for the lowest one)	488	meV/atom
crystal system	monoclinic

a b c (Å): 7.322 5.416 12.142
angles (deg): 82.58 90.00 90.00
Positions (direct):
U1 0.500 0.928 0.751
U2 0.000 0.052 0.237
U3 0.500 0.097 0.277
U4 0.000 0.971 0.784
Co1 0.705 0.052 0.015
Co2 0.297 0.005 0.513
Co3 0.500 0.584 0.452
Co4 0.703 0.005 0.513
Co5 0.295 0.052 0.015
Co6 0.000 0.349 0.954
O1 0.798 0.051 0.362
O2 0.297 0.165 0.156
O3 0.295 0.956 0.875
O4 0.775 0.928 0.667
O5 0.000 0.297 0.724
O6 0.202 0.051 0.362
O7 0.500 0.275 0.715
O8 0.705 0.956 0.875
O9 0.500 0.724 0.298
O10 0.703 0.165 0.156
O11 0.225 0.928 0.667
O12 0.000 0.642 0.862
O13 0.500 0.772 0.566
O14 0.500 0.240 0.447
O15 0.000 0.704 0.241
O16 0.000 0.060 0.045

=====

No. 7
# MgMn3CuO8

A relaxed MgMn3CuO8 crystal (PBE with a Hubbard U, the Materials Project).

## Properties
symmetry	No. 8
polymorph energy (0 for the lowest one)	0	meV/atom
crystal system	monoclinic

a b c (Å): 5.959 5.898 5.959
angles (deg): 60.75 58.79 60.75
Positions (direct):
Mg1 0.884 0.868 0.884
Mn1 0.497 0.498 0.006
Mn2 0.498 0.005 0.498
Mn3 0.006 0.498 0.497
Cu1 0.499 0.497 0.499
O1 0.247 0.290 0.247
O2 0.697 0.270 0.247
O3 0.261 0.704 0.261
O4 0.247 0.270 0.697
O5 0.750 0.737 0.294
O6 0.743 0.283 0.743
O7 0.294 0.737 0.750
O8 0.751 0.720 0.751

=====

No. 8
# K2MgFe2O4

A relaxed K2MgFe2O4 crystal (PBE with a Hubbard U, the Materials Project).

## Properties
symmetry	No. 1
polymorph energy (0 for the lowest one)	24	meV/atom
crystal system	triclinic

a b c (Å): 5.874 5.950 8.719
angles (deg): 59.26 120.83 147.18
Positions (direct):
K1 0.158 0.834 0.621
K2 0.847 0.184 0.379
Mg1 0.687 0.312 0.960
Fe1 0.024 0.974 0.179
Fe2 0.927 0.014 0.821
O1 0.161 0.835 0.068
O2 0.496 0.505 0.713
O3 0.565 0.433 0.323
O4 0.856 0.180 0.914

=====

No. 9
# Li3Co2O5

A relaxed Li3Co2O5 crystal (PBE with a Hubbard U, the Materials Project).

## Properties
symmetry	No. 12
polymorph energy (0 for the lowest one)	89	meV/atom
crystal system	monoclinic

a b c (Å): 10.384 10.384 5.948
angles (deg): 82.62 82.62 16.18
Positions (direct):
Li1 0.902 0.902 0.792
Li2 0.697 0.697 0.402
Li3 0.500 0.500 0.000
Li4 0.303 0.303 0.598
Li5 0.098 0.098 0.208
Li6 0.500 0.500 0.500
Co1 0.094 0.094 0.697
Co2 0.906 0.906 0.303
Co3 0.698 0.698 0.906
Co4 0.302 0.302 0.094
O1 0.809 0.809 0.332
O2 0.600 0.600 0.935
O3 0.400 0.400 0.529
O4 0.202 0.202 0.141
O5 0.009 0.009 0.746
O6 0.991 0.991 0.254
O7 0.798 0.798 0.859
O8 0.600 0.600 0.471
O9 0.400 0.400 0.065
O10 0.191 0.191 0.668

=====

| no. | total moment (μB/f.u.) | energy with MP2020 corrections (eV/atom) | energy of formation from the pure elements (eV per formula unit) |
| --- | --- | --- | --- |
| 1 | 19.001 | -8.049 | -56.66 |
| 2 | 18.002 | -5.238 | -60.20 |
| 3 | 2.138 | -7.567 | -46.76 |
| 4 | 18.986 | -5.931 | -39.10 |
| 5 | 7.002 | -7.498 | -51.60 |
| 6 | 0.775 | -8.473 | -26.65 |
| 7 | 8.001 | -7.429 | -23.80 |
| 8 | 7.998 | -6.226 | -15.48 |
| 9 | 7.001 | -6.121 | -16.53 |